Entry 1:
The following is a GGA+U calculation of LiFeP4O12 after structural relaxation, from the Materials Project database.

Output
Energy above the most stable polymorph in this dataset, eV per formula unit: 0.63
E_form, eV/atom: -2.52
Volume, Å³/cell: 1067.91

```
data_LiFeP4O12
_chemical_formula_sum 'Li4 Fe4 P16 O48'
_cell_length_a 17.0390
_cell_length_b 12.1716
_cell_length_c 5.2241
_cell_angle_alpha 90.00
_cell_angle_beta 99.71
_cell_angle_gamma 90.00
_space_group_name_H-M_alt 'C 1 2/m 1'
_space_group_IT_number 12
loop_
_space_group_symop_operation_xyz
'x,y,z'
'-x,-y,-z'
'-x,y,-z'
'x,-y,z'
'x+1/2,y+1/2,z'
'-x+1/2,-y+1/2,-z'
'-x+1/2,y+1/2,-z'
'x+1/2,-y+1/2,z'
loop_
_atom_site_label
_atom_site_fract_x
_atom_site_fract_y
_atom_site_fract_z
_atom_site_occupancy
Li1 0.0764 0.0000 0.0770 1
Fe1 0.2500 0.2500 0.5000 1
P1 0.0761 0.2083 0.6767 1
P2 0.1795 0.3787 0.9651 1
O1 0.0000 0.2645 0.5000 1
O2 0.0521 0.1126 0.8210 1
O3 0.0998 0.3104 0.8738 1
O4 0.1404 0.1921 0.5122 1
O5 0.1460 0.5000 0.8911 1
O6 0.2024 0.3710 0.2549 1
O7 0.2427 0.3501 0.8048 1
```

***

Entry 2:
The following is a GGA+U calculation of Fe2Te3O9 after structural relaxation, from the Materials Project database.

Output
Energy above the most stable polymorph in this dataset, eV per formula unit: 0.13
E_form, eV/atom: -1.56
Volume, Å³/cell: 828.31

```
data_Fe2Te3O9
_chemical_formula_sum 'Fe8 Te12 O36'
_cell_length_a 9.6566
_cell_length_b 7.6319
_cell_length_c 11.2393
_cell_angle_alpha 90.00
_cell_angle_beta 90.00
_cell_angle_gamma 90.00
_space_group_name_H-M_alt 'P n m a'
_space_group_IT_number 62
loop_
_space_group_symop_operation_xyz
'x,y,z'
'-x,-y,-z'
'-x+1/2,-y,z+1/2'
'x+1/2,y,-z+1/2'
'x+1/2,-y+1/2,-z+1/2'
'-x+1/2,y+1/2,z+1/2'
'-x,y+1/2,-z'
'x,-y+1/2,z'
loop_
_atom_site_label
_atom_site_fract_x
_atom_site_fract_y
_atom_site_fract_z
_atom_site_occupancy
Fe1 0.2269 0.0557 0.0590 1
Te1 0.0331 0.2500 0.8360 1
Te2 0.0409 0.2500 0.4888 1
Te3 0.1094 0.7500 0.8232 1
O1 0.0787 0.2500 0.0092 1
O2 0.0915 0.5628 0.1565 1
O3 0.0980 0.0667 0.5956 1
O4 0.1494 0.7500 0.4631 1
O5 0.1997 0.5651 0.9037 1
O6 0.2381 0.7500 0.6895 1
```

***

Entry 3:
The following is a GGA+U calculation of VCo3O8 after structural relaxation, from the Materials Project database.

Output
Energy above the most stable polymorph in this dataset, eV per formula unit: 0.46
E_form, eV/atom: -1.34
Volume, Å³/cell: 497.41

```
data_VCo3O8
_chemical_formula_sum 'V4 Co12 O32'
_cell_length_a 5.6754
_cell_length_b 9.9069
_cell_length_c 8.8470
_cell_angle_alpha 90.00
_cell_angle_beta 90.50
_cell_angle_gamma 90.00
_space_group_name_H-M_alt 'C 1 c 1'
_space_group_IT_number 9
loop_
_space_group_symop_operation_xyz
'x,y,z'
'x,-y,z+1/2'
'x+1/2,y+1/2,z'
'x+1/2,-y+1/2,z+1/2'
loop_
_atom_site_label
_atom_site_fract_x
_atom_site_fract_y
_atom_site_fract_z
_atom_site_occupancy
V1 0.0000 0.1676 0.0000 1
Co1 0.2404 0.0857 0.2830 1
Co2 0.2496 0.4150 0.7883 1
Co3 0.4955 0.1679 0.7907 1
O1 0.0028 0.1662 0.3929 1
O2 0.2203 0.2303 0.1554 1
O3 0.2286 0.0795 0.9054 1
O4 0.2530 0.4195 0.4034 1
O5 0.2723 0.2661 0.6642 1
O6 0.4882 0.0004 0.1910 1
O7 0.4913 0.4798 0.6664 1
O8 0.4992 0.1704 0.4020 1
```

***

Entry 4:
The following is a GGA+U calculation of LiMn2O4 after structural relaxation, from the Materials Project database.

Output
Energy above the most stable polymorph in this dataset, eV per formula unit: 0.32
E_form, eV/atom: -2.02
Volume, Å³/cell: 439.29

```
data_LiMn2O4
_chemical_formula_sum 'Li6 Mn12 O24'
_cell_length_a 5.8950
_cell_length_b 5.8950
_cell_length_c 14.5965
_cell_angle_alpha 90.00
_cell_angle_beta 90.00
_cell_angle_gamma 120.00
_space_group_name_H-M_alt 'R 3 m'
_space_group_IT_number 160
_space_group_name_Hall 'R 3 -2"'
loop_
_atom_site_label
_atom_site_fract_x
_atom_site_fract_y
_atom_site_fract_z
_atom_site_occupancy
Li1 0.0000 0.0000 0.0000 1
Li2 0.0000 0.0000 0.3827 1
Mn1 0.0000 0.0000 0.7648 1
Mn2 0.0045 0.5023 0.8847 1
O1 0.0000 0.0000 0.1461 1
O2 0.0000 0.0000 0.6224 1
O3 0.0335 0.5168 0.1454 1
O4 0.1809 0.3617 0.9539 1
```

***

Entry 5:
The following is a GGA+U calculation of Na3LiWO5 after structural relaxation, from the Materials Project database.

Output
E_form, eV/atom: -2.20
Volume, Å³/cell: 240.67

```
data_Na3LiWO5
_chemical_formula_sum 'Na6 Li2 W2 O10'
_cell_length_a 5.7189
_cell_length_b 6.1087
_cell_length_c 7.6743
_cell_angle_alpha 76.51
_cell_angle_beta 71.50
_cell_angle_gamma 73.43
_space_group_name_H-M_alt 'P -1'
_space_group_IT_number 2
loop_
_space_group_symop_operation_xyz
'x,y,z'
'-x,-y,-z'
loop_
_atom_site_label
_atom_site_fract_x
_atom_site_fract_y
_atom_site_fract_z
_atom_site_occupancy
Na1 0.0197 0.2452 0.4895 1
Na2 0.1772 0.0538 0.1130 1
Na3 0.2025 0.5485 0.0964 1
Li1 0.3860 0.8600 0.6552 1
W1 0.3986 0.3404 0.7033 1
O1 0.1463 0.1657 0.7722 1
O2 0.1497 0.6206 0.7739 1
O3 0.3449 0.9214 0.3932 1
O4 0.3493 0.4474 0.4276 1
O5 0.4879 0.2717 0.9274 1
```

***

Entry 6:
The following is a GGA+U calculation of Li2VOF4 after structural relaxation, from the Materials Project database.

Output
Energy above the most stable polymorph in this dataset, eV per formula unit: 0.55
E_form, eV/atom: -2.96
Volume, Å³/cell: 422.05

```
data_Li2VOF4
_chemical_formula_sum 'Li8 V4 O4 F16'
_cell_length_a 5.2524
_cell_length_b 8.5786
_cell_length_c 9.3902
_cell_angle_alpha 90.66
_cell_angle_beta 93.33
_cell_angle_gamma 92.16
_space_group_name_H-M_alt 'P 1'
_space_group_IT_number 1
loop_
_space_group_symop_operation_xyz
'x,y,z'
loop_
_atom_site_label
_atom_site_fract_x
_atom_site_fract_y
_atom_site_fract_z
_atom_site_occupancy
Li1 0.0000 0.0000 0.0000 1
Li2 0.0139 0.0562 0.6723 1
Li3 0.1373 0.5295 0.2971 1
Li4 0.1573 0.4910 0.9828 1
Li5 0.4912 0.2289 0.4736 1
Li6 0.5622 0.7233 0.1546 1
Li7 0.6003 0.2287 0.8111 1
Li8 0.6407 0.7427 0.4989 1
V1 0.0516 0.4200 0.6194 1
V2 0.1031 0.9001 0.3610 1
V3 0.4937 0.8373 0.8440 1
V4 0.6306 0.3317 0.1202 1
O1 0.1471 0.9748 0.2027 1
O2 0.4086 0.2967 0.9876 1
O3 0.4939 0.7242 0.7002 1
O4 0.5816 0.2296 0.2644 1
F1 0.2033 0.3807 0.4364 1
F2 0.2337 0.9892 0.8343 1
F3 0.2796 0.7181 0.9680 1
F4 0.3078 0.7202 0.3818 1
F5 0.3315 0.2927 0.6859 1
F6 0.3446 0.0192 0.4860 1
F7 0.4329 0.5148 0.1753 1
F8 0.7258 0.0156 0.8056 1
F9 0.7399 0.8172 0.0017 1
F10 0.8132 0.7578 0.3039 1
F11 0.8163 0.2362 0.6080 1
F12 0.8212 0.5513 0.5204 1
F13 0.8748 0.2131 0.0321 1
F14 0.8847 0.9271 0.5190 1
F15 0.9033 0.4911 0.1314 1
F16 0.9520 0.4587 0.8089 1
```

***

Entry 7:
The following is a GGA+U calculation of Li6V3P8O29 after structural relaxation, from the Materials Project database.

Output
Energy above the most stable polymorph in this dataset, eV per formula unit: 0.24
E_form, eV/atom: -2.66
Volume, Å³/cell: 1162.58

```
data_Li6V3P8O29
_chemical_formula_sum 'Li12 V6 P16 O58'
_cell_length_a 9.8086
_cell_length_b 9.8125
_cell_length_c 13.9227
_cell_angle_alpha 89.93
_cell_angle_beta 89.85
_cell_angle_gamma 60.18
_space_group_name_H-M_alt 'P 1'
_space_group_IT_number 1
loop_
_space_group_symop_operation_xyz
'x,y,z'
loop_
_atom_site_label
_atom_site_fract_x
_atom_site_fract_y
_atom_site_fract_z
_atom_site_occupancy
Li1 0.0000 0.0000 0.0000 1
Li2 0.0005 0.4478 0.4989 1
Li3 0.1428 0.8638 0.4978 1
Li4 0.2167 0.6874 0.1162 1
Li5 0.2455 0.1109 0.6740 1
Li6 0.5677 0.4440 0.9440 1
Li7 0.5834 0.0050 0.4980 1
Li8 0.5891 0.8643 0.9973 1
Li9 0.6828 0.0855 0.1196 1
Li10 0.8106 0.1068 0.6184 1
Li11 0.8267 0.5527 0.1187 1
Li12 0.9186 0.7377 0.5668 1
V1 0.3394 0.3449 0.8101 1
V2 0.3420 0.7739 0.3101 1
V3 0.4684 0.2125 0.3095 1
V4 0.4753 0.7713 0.8028 1
V5 0.9070 0.2128 0.8098 1
V6 0.9076 0.3438 0.3090 1
P1 0.1316 0.8669 0.7142 1
P2 0.1379 0.4590 0.2147 1
P3 0.2152 0.5493 0.4021 1
P4 0.2266 0.6857 0.9000 1
P5 0.2399 0.1094 0.4329 1
P6 0.2441 0.1039 0.9300 1
P7 0.5744 0.4412 0.1871 1
P8 0.5755 0.4376 0.6861 1
P9 0.5878 0.8622 0.2160 1
P10 0.5908 0.0034 0.7159 1
P11 0.6762 0.0967 0.9029 1
P12 0.6824 0.6898 0.4012 1
P13 0.8153 0.5474 0.9018 1
P14 0.8199 0.0914 0.4016 1
P15 0.9967 0.0076 0.2180 1
P16 0.9981 0.4617 0.7167 1
O1 0.0082 0.1567 0.2373 1
O2 0.0114 0.2965 0.7277 1
O3 0.0889 0.1122 0.8878 1
O4 0.0955 0.2651 0.3955 1
O5 0.1130 0.5651 0.4863 1
O6 0.1145 0.5687 0.3069 1
O7 0.1199 0.7779 0.8082 1
O8 0.1279 0.7839 0.6249 1
O9 0.1488 0.7814 0.9884 1
O10 0.1504 0.5388 0.1275 1
O11 0.1608 0.8594 0.2167 1
O12 0.1635 0.4384 0.7232 1
O13 0.2291 0.9646 0.3948 1
O14 0.2422 0.1090 0.5413 1
O15 0.2430 0.5228 0.8994 1
O16 0.2452 0.0979 0.0362 1
O17 0.2465 0.6908 0.3972 1
O18 0.2537 0.2445 0.8837 1
O19 0.2800 0.8847 0.7259 1
O20 0.2855 0.2958 0.2361 1
O21 0.3713 0.3949 0.3925 1
O22 0.3875 0.9518 0.8856 1
O23 0.3933 0.6645 0.8853 1
O24 0.3946 0.0989 0.3930 1
O25 0.4213 0.5894 0.2249 1
O26 0.4275 0.1522 0.7248 1
O27 0.4276 0.8731 0.2380 1
O28 0.4332 0.4325 0.7336 1
O29 0.5284 0.6877 0.3911 1
O30 0.5352 0.2636 0.8893 1
O31 0.5699 0.0276 0.2172 1
O32 0.5702 0.5887 0.7296 1
O33 0.5717 0.8585 0.7179 1
O34 0.5768 0.4372 0.0789 1
O35 0.5778 0.2895 0.2275 1
O36 0.5811 0.4287 0.5801 1
O37 0.6513 0.6972 0.8991 1
O38 0.6527 0.1113 0.3994 1
O39 0.6593 0.7748 0.1242 1
O40 0.6605 0.0159 0.9909 1
O41 0.6827 0.0043 0.6282 1
O42 0.6920 0.9928 0.8099 1
O43 0.6980 0.7796 0.4833 1
O44 0.7038 0.7664 0.3022 1
O45 0.7216 0.4473 0.2258 1
O46 0.7280 0.2892 0.7290 1
O47 0.7895 0.4039 0.8838 1
O48 0.8140 0.2483 0.3872 1
O49 0.8250 0.5190 0.3987 1
O50 0.8285 0.1066 0.9044 1
O51 0.9030 0.5318 0.9913 1
O52 0.9037 0.5639 0.8088 1
O53 0.9052 0.0224 0.1282 1
O54 0.9081 0.0027 0.4904 1
O55 0.9079 0.9836 0.3086 1
O56 0.9166 0.5466 0.6266 1
O57 0.9847 0.0328 0.7181 1
O58 0.9896 0.4409 0.2176 1
```

***

Entry 8:
The following is a GGA+U calculation of Mn3SbP6O24 after structural relaxation, from the Materials Project database.

Output
E_form, eV/atom: -2.23
Volume, Å³/cell: 1349.34

```
data_Mn3SbP6O24
_chemical_formula_sum 'Mn9 Sb3 P18 O72'
_cell_length_a 8.4757
_cell_length_b 8.4757
_cell_length_c 21.6890
_cell_angle_alpha 90.00
_cell_angle_beta 90.00
_cell_angle_gamma 120.00
_space_group_name_H-M_alt 'R 3'
_space_group_IT_number 146
_space_group_name_Hall 'R 3'
loop_
_atom_site_label
_atom_site_fract_x
_atom_site_fract_y
_atom_site_fract_z
_atom_site_occupancy
Mn1 0.0000 0.0000 0.0000 1
Mn2 0.0000 0.0000 0.2107 1
Mn3 0.0000 0.0000 0.7116 1
Sb1 0.0000 0.0000 0.4980 1
P1 0.9999 0.7105 0.6071 1
P2 0.0540 0.3819 0.7711 1
O1 0.0279 0.8388 0.2672 1
O2 0.0324 0.1919 0.7663 1
O3 0.0320 0.2003 0.0465 1
O4 0.0369 0.8257 0.5473 1
O5 0.1642 0.4634 0.8306 1
O6 0.1646 0.7011 0.3305 1
O7 0.1685 0.4711 0.1087 1
O8 0.1711 0.6936 0.6119 1
```

***

Entry 9:
The following is a GGA+U calculation of VF5 after structural relaxation, from the Materials Project database.

Output
E_form, eV/atom: -2.80
Volume, Å³/cell: 408.30

```
data_VF5
_chemical_formula_sum 'V4 F20'
_cell_length_a 5.5813
_cell_length_b 9.9641
_cell_length_c 7.3418
_cell_angle_alpha 90.00
_cell_angle_beta 90.03
_cell_angle_gamma 90.00
_space_group_name_H-M_alt 'P 1 21 1'
_space_group_IT_number 4
loop_
_space_group_symop_operation_xyz
'x,y,z'
'-x,y+1/2,-z'
loop_
_atom_site_label
_atom_site_fract_x
_atom_site_fract_y
_atom_site_fract_z
_atom_site_occupancy
V1 0.0163 0.0000 0.0771 1
V2 0.4842 0.3903 0.6138 1
F1 0.0124 0.8733 0.9092 1
F2 0.0262 0.0795 0.2925 1
F3 0.2217 0.3785 0.7993 1
F4 0.2252 0.5909 0.0087 1
F5 0.2348 0.0994 0.9750 1
F6 0.2703 0.3984 0.4412 1
F7 0.2731 0.8830 0.1828 1
F8 0.2743 0.8993 0.5362 1
F9 0.4751 0.5622 0.6727 1
F10 0.4829 0.2149 0.6438 1
```

***

Entry 10:
The following is a GGA+U calculation of MoO3 after structural relaxation, from the Materials Project database.

Output
E_form, eV/atom: -1.87
Volume, Å³/cell: 244.32

```
data_MoO3
_chemical_formula_sum 'Mo4 O12'
_cell_length_a 9.1895
_cell_length_b 5.2037
_cell_length_c 5.3209
_cell_angle_alpha 90.00
_cell_angle_beta 106.22
_cell_angle_gamma 90.00
_space_group_name_H-M_alt 'P 1 c 1'
_space_group_IT_number 7
loop_
_space_group_symop_operation_xyz
'x,y,z'
'x,-y,z+1/2'
loop_
_atom_site_label
_atom_site_fract_x
_atom_site_fract_y
_atom_site_fract_z
_atom_site_occupancy
Mo1 0.0000 0.2316 0.0000 1
Mo2 0.4851 0.2638 0.2243 1
O1 0.0079 0.4700 0.2659 1
O2 0.0744 0.0416 0.7343 1
O3 0.2945 0.3285 0.1338 1
O4 0.5025 0.0079 0.9564 1
O5 0.5613 0.4959 0.9877 1
O6 0.8115 0.1573 0.8975 1
```